Run one
LiV2P3O12: relaxed, PBE with a Hubbard U.

The structure in CIF format:
```
data_LiV2P3O12
_space_group_name_H-M_alt 'C 1 2/c 1'
_space_group_IT_number 15
_space_group_name_Hall '-C 2yc'
_cell_length_a 18.038
_cell_length_b 6.131
_cell_length_c 8.010
_cell_angle_alpha 90.00
_cell_angle_beta 106.49
_cell_angle_gamma 90.00
loop_
_atom_site_label
_atom_site_type_symbol
_atom_site_fract_x
_atom_site_fract_y
_atom_site_fract_z
Li1 Li 0.000 0.000 0.000
V1 V 0.134 0.337 0.094
P1 P 0.000 0.450 0.750
P2 P 0.176 0.178 0.724
O1 O 0.028 0.300 0.909
O2 O 0.067 0.396 0.236
O3 O 0.125 0.026 0.164
O4 O 0.141 0.351 0.584
O5 O 0.172 0.253 0.908
O6 O 0.238 0.355 0.256
```

=====

Run two
LiV2P3O12: relaxed, PBE with a Hubbard U.

The structure in CIF format:
```
data_LiV2P3O12
_space_group_name_H-M_alt 'C 1 c 1'
_space_group_IT_number 9
_space_group_name_Hall 'C -2yc'
_cell_length_a 14.879
_cell_length_b 8.570
_cell_length_c 8.601
_cell_angle_alpha 90.00
_cell_angle_beta 124.02
_cell_angle_gamma 90.00
loop_
_atom_site_label
_atom_site_type_symbol
_atom_site_fract_x
_atom_site_fract_y
_atom_site_fract_z
Li1 Li 0.000 0.161 0.000
V1 V 0.204 0.248 0.373
V2 V 0.412 0.244 0.024
P1 P 0.167 0.113 0.704
P2 P 0.307 0.464 0.201
P3 P 0.446 0.112 0.687
O1 O 0.047 0.302 0.220
O2 O 0.064 0.194 0.659
O3 O 0.147 0.066 0.199
O4 O 0.187 0.144 0.548
O5 O 0.223 0.358 0.204
O6 O 0.246 0.439 0.524
O7 O 0.263 0.171 0.895
O8 O 0.353 0.175 0.495
O9 O 0.371 0.440 0.886
O10 O 0.398 0.360 0.214
O11 O 0.427 0.141 0.841
O12 O 0.459 0.067 0.179
```

=====

Run three
LiV2P3O12: relaxed, PBE with a Hubbard U.

The structure in CIF format:
```
data_LiV2P3O12
_space_group_name_H-M_alt 'C 1 2/c 1'
_space_group_IT_number 15
_space_group_name_Hall '-C 2yc'
_cell_length_a 14.654
_cell_length_b 8.588
_cell_length_c 8.537
_cell_angle_alpha 90.00
_cell_angle_beta 124.79
_cell_angle_gamma 90.00
loop_
_atom_site_label
_atom_site_type_symbol
_atom_site_fract_x
_atom_site_fract_y
_atom_site_fract_z
Li1 Li 0.250 0.250 0.000
V1 V 0.113 0.250 0.147
P1 P 0.000 0.040 0.750
P2 P 0.145 0.398 0.536
O1 O 0.031 0.345 0.483
O2 O 0.068 0.060 0.202
O3 O 0.086 0.145 0.918
O4 O 0.159 0.423 0.054
O5 O 0.164 0.351 0.382
O6 O 0.232 0.322 0.731
```

=====

What should be chosen as the least stable of them? Choose run one.

=====

Run one
LiV2P3O12: relaxed, PBE with a Hubbard U.

The structure in CIF format:
```
data_LiV2P3O12
_space_group_name_H-M_alt 'P 1 2/c 1'
_space_group_IT_number 13
_space_group_name_Hall '-P 2yc'
_cell_length_a 8.519
_cell_length_b 8.586
_cell_length_c 12.113
_cell_angle_alpha 90.00
_cell_angle_beta 90.53
_cell_angle_gamma 90.00
loop_
_atom_site_label
_atom_site_type_symbol
_atom_site_fract_x
_atom_site_fract_y
_atom_site_fract_z
Li1 Li 0.000 0.000 0.000
Li2 Li 0.500 0.500 0.000
V1 V 0.219 0.498 0.356
V2 V 0.281 0.002 0.640
P1 P 0.000 0.207 0.250
P2 P 0.148 0.356 0.605
P3 P 0.354 0.145 0.895
P4 P 0.500 0.289 0.250
O1 O 0.026 0.407 0.898
O2 O 0.076 0.103 0.161
O3 O 0.124 0.307 0.310
O4 O 0.147 0.177 0.593
O5 O 0.230 0.410 0.712
O6 O 0.244 0.428 0.510
O7 O 0.254 0.068 0.986
O8 O 0.282 0.090 0.784
O9 O 0.347 0.324 0.909
O10 O 0.381 0.188 0.185
O11 O 0.422 0.394 0.338
O12 O 0.471 0.102 0.594
```

=====

Run two
LiV2P3O12: relaxed, PBE with a Hubbard U.

The structure in CIF format:
```
data_LiV2P3O12
_space_group_name_H-M_alt 'P -1'
_space_group_IT_number 2
_space_group_name_Hall '-P 1'
_cell_length_a 8.430
_cell_length_b 8.469
_cell_length_c 8.737
_cell_angle_alpha 90.57
_cell_angle_beta 118.45
_cell_angle_gamma 119.71
loop_
_atom_site_label
_atom_site_type_symbol
_atom_site_fract_x
_atom_site_fract_y
_atom_site_fract_z
Li1 Li 0.146 0.182 0.417
V1 V 0.289 0.645 0.430
V2 V 0.295 0.143 0.929
P1 P 0.218 0.746 0.754
P2 P 0.221 0.974 0.253
P3 P 0.497 0.462 0.748
O1 O 0.002 0.920 0.226
O2 O 0.022 0.546 0.713
O3 O 0.160 0.894 0.752
O4 O 0.220 0.001 0.079
O5 O 0.261 0.818 0.300
O6 O 0.270 0.749 0.607
O7 O 0.325 0.532 0.268
O8 O 0.329 0.465 0.566
O9 O 0.352 0.265 0.760
O10 O 0.389 0.373 0.083
O11 O 0.390 0.167 0.415
O12 O 0.420 0.802 0.944
```

=====

What should be chosen as the least stable of them? Choose run two.

=====

Run one
FeSe2O6: relaxed, PBE with a Hubbard U.

The structure in CIF format:
```
data_FeSe2O6
_space_group_name_H-M_alt 'P 1 21/c 1'
_space_group_IT_number 14
_space_group_name_Hall '-P 2ybc'
_cell_length_a 6.634
_cell_length_b 10.041
_cell_length_c 8.179
_cell_angle_alpha 90.00
_cell_angle_beta 90.59
_cell_angle_gamma 90.00
loop_
_atom_site_label
_atom_site_type_symbol
_atom_site_fract_x
_atom_site_fract_y
_atom_site_fract_z
Fe1 Fe 0.052 0.006 0.198
Se1 Se 0.092 0.711 0.022
Se2 Se 0.440 0.083 0.780
O1 O 0.021 0.128 0.997
O2 O 0.062 0.663 0.822
O3 O 0.099 0.125 0.386
O4 O 0.254 0.534 0.270
O5 O 0.353 0.003 0.150
O6 O 0.479 0.149 0.596
```

=====

Run two
FeSe2O6: relaxed, PBE with a Hubbard U.

The structure in CIF format:
```
data_FeSe2O6
_space_group_name_H-M_alt 'I -4 2 d'
_space_group_IT_number 122
_space_group_name_Hall 'I -4 2bw'
_cell_length_a 10.885
_cell_length_b 10.885
_cell_length_c 10.270
_cell_angle_alpha 90.00
_cell_angle_beta 90.00
_cell_angle_gamma 90.00
loop_
_atom_site_label
_atom_site_type_symbol
_atom_site_fract_x
_atom_site_fract_y
_atom_site_fract_z
Fe1 Fe 0.209 0.750 0.125
Se1 Se 0.057 0.736 0.845
O1 O 0.077 0.701 0.254
O2 O 0.082 0.208 0.792
O3 O 0.156 0.687 0.504
```

=====

What should be chosen as the least stable of them? Choose run two.

=====

Run one
Mn2O3F: relaxed, PBE with a Hubbard U.

The structure in CIF format:
```
data_Mn2O3F
_space_group_name_H-M_alt 'C 1 2/m 1'
_space_group_IT_number 12
_space_group_name_Hall '-C 2y'
_cell_length_a 18.383
_cell_length_b 6.047
_cell_length_c 4.587
_cell_angle_alpha 90.00
_cell_angle_beta 92.25
_cell_angle_gamma 90.00
loop_
_atom_site_label
_atom_site_type_symbol
_atom_site_fract_x
_atom_site_fract_y
_atom_site_fract_z
Mn1 Mn 0.000 0.000 0.000
Mn2 Mn 0.000 0.500 0.000
Mn3 Mn 0.126 0.246 0.499
Mn4 Mn 0.244 0.500 0.025
O1 O 0.048 0.251 0.192
O2 O 0.078 0.000 0.689
O3 O 0.171 0.500 0.311
O4 O 0.202 0.249 0.807
F1 F 0.072 0.500 0.714
F2 F 0.181 0.000 0.278
```

=====

Run two
Mn2O3F: relaxed, PBE with a Hubbard U.

The structure in CIF format:
```
data_Mn2O3F
_space_group_name_H-M_alt 'C m c m'
_space_group_IT_number 63
_space_group_name_Hall '-C 2c 2'
_cell_length_a 6.331
_cell_length_b 6.578
_cell_length_c 6.018
_cell_angle_alpha 90.00
_cell_angle_beta 90.00
_cell_angle_gamma 90.00
loop_
_atom_site_label
_atom_site_type_symbol
_atom_site_fract_x
_atom_site_fract_y
_atom_site_fract_z
Mn1 Mn 0.000 0.000 0.000
Mn2 Mn 0.000 0.476 0.250
O1 O 0.000 0.187 0.250
O2 O 0.192 0.500 0.000
F1 F 0.000 0.220 0.750
```

=====

Run three
Mn2O3F: relaxed, PBE with a Hubbard U.

The structure in CIF format:
```
data_Mn2O3F
_space_group_name_H-M_alt 'P 1'
_space_group_IT_number 1
_space_group_name_Hall 'P 1'
_cell_length_a 4.574
_cell_length_b 6.059
_cell_length_c 9.616
_cell_angle_alpha 71.71
_cell_angle_beta 89.03
_cell_angle_gamma 90.00
loop_
_atom_site_label
_atom_site_type_symbol
_atom_site_fract_x
_atom_site_fract_y
_atom_site_fract_z
Mn1 Mn 0.000 0.000 0.000
Mn2 Mn 0.008 0.509 0.997
Mn3 Mn 0.469 0.887 0.738
Mn4 Mn 0.506 0.626 0.243
Mn5 Mn 0.519 0.369 0.762
Mn6 Mn 0.527 0.136 0.253
Mn7 Mn 0.967 0.752 0.505
Mn8 Mn 0.988 0.255 0.494
O1 O 0.183 0.958 0.590
O2 O 0.190 0.706 0.096
O3 O 0.302 0.081 0.844
O4 O 0.303 0.582 0.842
O5 O 0.312 0.332 0.344
O6 O 0.681 0.674 0.655
O7 O 0.687 0.178 0.653
O8 O 0.692 0.927 0.155
O9 O 0.698 0.430 0.150
O10 O 0.802 0.054 0.401
O11 O 0.804 0.553 0.401
O12 O 0.809 0.299 0.908
F1 F 0.200 0.451 0.601
F2 F 0.213 0.197 0.109
F3 F 0.299 0.826 0.351
F4 F 0.777 0.809 0.889
```

=====

What should be chosen as the least stable of them? Choose run one.